# Y2Co5Cu5

Y2Co5Cu5 after structural relaxation (PBE, the Materials Project).

Unit cell a=4.0509 b=4.9912 c=8.5522 alpha=90.00 beta=90.00 gamma=90.00
Last column: nearest neighbours and their distance in Å.
Sites, in units of the cell vectors:
1 Y 0.0000 0.0000 0.0000  6 Co 2.82-2.87
2 Y 0.0000 0.5000 0.5000  6 Co 2.86-2.96
3 Co 0.0000 0.0000 0.3358  6 Cu 2.46-2.49
4 Co 0.0000 0.0000 0.6642  6 Cu 2.46-2.49
5 Co 0.0000 0.5000 0.1544  3 Co 2.42-2.64, 4 Cu 2.51
6 Co 0.0000 0.5000 0.8456  3 Co 2.42-2.64, 4 Cu 2.51
7 Co 0.5000 0.5000 0.0000  4 Co 2.42, 4 Cu 2.47
8 Cu 0.5000 0.0000 0.5000  4 Co 2.46, 4 Cu 2.49
9 Cu 0.5000 0.2497 0.2486  5 Co 2.47-2.51, 3 Cu 2.49-2.50
10 Cu 0.5000 0.2497 0.7514  5 Co 2.47-2.51, 3 Cu 2.49-2.50
11 Cu 0.5000 0.7503 0.2486  5 Co 2.47-2.51, 3 Cu 2.49-2.50
12 Cu 0.5000 0.7503 0.7514  5 Co 2.47-2.51, 3 Cu 2.49-2.50

Computed properties:
E_form   -62 meV/atom

=====

# Y2Co14Cu3

Y2Co14Cu3 after structural relaxation (PBE, the Materials Project).

Unit cell a=8.3182 b=8.3182 c=8.1472 alpha=90.00 beta=90.00 gamma=120.00
Last column: nearest neighbours and their distance in Å.
Sites, in units of the cell vectors:
1 Y 0.0000 0.0000 0.2500  18 Co 2.94-3.17
2 Y 0.0000 0.0000 0.7500  18 Co 2.94-3.17
3 Y 0.3333 0.6667 0.2500  14 Co 2.94-3.13, 6 Cu 3.15
4 Y 0.6667 0.3333 0.7500  14 Co 2.94-3.13, 6 Cu 3.15
5 Co 0.0469 0.3741 0.7500  6 Co 2.33-2.60, 2 Cu 2.41
6 Co 0.0469 0.6727 0.7500  6 Co 2.33-2.60, 2 Cu 2.41
7 Co 0.1615 0.3229 0.0142  6 Co 2.34-2.60, 2 Cu 2.44
8 Co 0.1615 0.3229 0.4858  6 Co 2.34-2.60, 2 Cu 2.44
9 Co 0.1615 0.8385 0.0142  6 Co 2.34-2.60, 2 Cu 2.44
10 Co 0.1615 0.8385 0.4858  6 Co 2.34-2.60, 2 Cu 2.44
11 Co 0.3229 0.1615 0.5142  6 Co 2.34-2.60, 2 Cu 2.44
12 Co 0.3229 0.1615 0.9858  6 Co 2.34-2.60, 2 Cu 2.44
13 Co 0.3273 0.3741 0.7500  6 Co 2.33-2.60, 2 Cu 2.41
14 Co 0.3273 0.9531 0.7500  6 Co 2.33-2.60, 2 Cu 2.41
15 Co 0.3333 0.6667 0.6104  1 Co 2.27
16 Co 0.3333 0.6667 0.8896  1 Co 2.27
17 Co 0.3741 0.0469 0.2500  6 Co 2.33-2.60, 2 Cu 2.41
18 Co 0.3741 0.3273 0.2500  6 Co 2.33-2.60, 2 Cu 2.41
19 Co 0.6259 0.6727 0.7500  6 Co 2.33-2.60, 2 Cu 2.41
20 Co 0.6259 0.9531 0.7500  6 Co 2.33-2.60, 2 Cu 2.41
21 Co 0.6667 0.3333 0.1104  1 Co 2.27
22 Co 0.6667 0.3333 0.3896  1 Co 2.27
23 Co 0.6727 0.0469 0.2500  6 Co 2.33-2.60, 2 Cu 2.41
24 Co 0.6727 0.6259 0.2500  6 Co 2.33-2.60, 2 Cu 2.41
25 Co 0.6771 0.8385 0.0142  6 Co 2.34-2.60, 2 Cu 2.44
26 Co 0.6771 0.8385 0.4858  6 Co 2.34-2.60, 2 Cu 2.44
27 Co 0.8385 0.1615 0.5142  6 Co 2.34-2.60, 2 Cu 2.44
28 Co 0.8385 0.1615 0.9858  6 Co 2.34-2.60, 2 Cu 2.44
29 Co 0.8385 0.6771 0.5142  6 Co 2.34-2.60, 2 Cu 2.44
30 Co 0.8385 0.6771 0.9858  6 Co 2.34-2.60, 2 Cu 2.44
31 Co 0.9531 0.3273 0.2500  6 Co 2.33-2.60, 2 Cu 2.41
32 Co 0.9531 0.6259 0.2500  6 Co 2.33-2.60, 2 Cu 2.41
33 Cu 0.0000 0.5000 0.0000  10 Co 2.41-2.56
34 Cu 0.0000 0.5000 0.5000  10 Co 2.41-2.56
35 Cu 0.5000 0.0000 0.0000  10 Co 2.41-2.56
36 Cu 0.5000 0.0000 0.5000  10 Co 2.41-2.56
37 Cu 0.5000 0.5000 0.0000  10 Co 2.41-2.56
38 Cu 0.5000 0.5000 0.5000  10 Co 2.41-2.56

Computed properties:
E_form   -25 meV/atom

=====

# Zr8Co3Cu

Zr8Co3Cu after structural relaxation (PBE, the Materials Project).

Unit cell a=5.3036 b=5.3036 c=9.1140 alpha=90.00 beta=90.00 gamma=118.33
Last column: nearest neighbours and their distance in Å.
Sites, in units of the cell vectors:
1 Zr 0.0000 0.5000 0.5821  4 Co 2.76, 1 Zr 3.05
2 Zr 0.0000 0.5000 0.9167  2 Co 2.76, 2 Cu 2.76, 1 Zr 3.05
3 Zr 0.1630 0.3292 0.2580  3 Co 2.69-2.81, 1 Cu 2.83
4 Zr 0.3292 0.1630 0.7420  3 Co 2.69-2.81, 1 Cu 2.83
5 Zr 0.5000 0.0000 0.0833  2 Co 2.76, 2 Cu 2.76, 1 Zr 3.05
6 Zr 0.5000 0.0000 0.4179  4 Co 2.76, 1 Zr 3.05
7 Zr 0.6708 0.8370 0.7420  3 Co 2.69-2.81, 1 Cu 2.83
8 Zr 0.8370 0.6708 0.2580  3 Co 2.69-2.81, 1 Cu 2.83
9 Co 0.0000 0.0000 0.0000  2 Cu 2.72, 8 Zr 2.76-2.81
10 Co 0.0000 0.0000 0.5000  8 Zr 2.69-2.76, 2 Co 2.72
11 Co 0.5000 0.5000 0.5000  8 Zr 2.71-2.76, 2 Co 2.72
12 Cu 0.5000 0.5000 0.0000  2 Co 2.72, 8 Zr 2.76-2.83

Computed properties:
E_form   -214 meV/atom

=====

# Dy2Co17

Dy2Co17 after structural relaxation (PBE, the Materials Project).

Unit cell a=6.2732 b=6.2732 c=6.2732 alpha=82.89 beta=82.89 gamma=82.89
Last column: nearest neighbours and their distance in Å.
Sites, in units of the cell vectors:
1 Dy 0.1561 0.1561 0.1561  19 Co 2.97-3.22
2 Dy 0.8439 0.8439 0.8439  19 Co 2.97-3.22
3 Co 0.0000 0.5000 0.5000  10 Co 2.37-2.54
4 Co 0.1540 0.1540 0.6504  9 Co 2.39-2.59
5 Co 0.1540 0.6504 0.1540  9 Co 2.39-2.59
6 Co 0.2115 0.5000 0.7885  8 Co 2.37-2.55
7 Co 0.2115 0.7885 0.5000  8 Co 2.37-2.55
8 Co 0.3496 0.8460 0.8460  9 Co 2.39-2.59
9 Co 0.4033 0.4033 0.4033  7 Co 2.35-2.59
10 Co 0.5000 0.0000 0.5000  10 Co 2.37-2.54
11 Co 0.5000 0.2115 0.7885  8 Co 2.37-2.55
12 Co 0.5000 0.5000 0.0000  10 Co 2.37-2.54
13 Co 0.5000 0.7885 0.2115  8 Co 2.37-2.55
14 Co 0.5967 0.5967 0.5967  7 Co 2.35-2.59
15 Co 0.6504 0.1540 0.1540  9 Co 2.39-2.59
16 Co 0.7885 0.2115 0.5000  8 Co 2.37-2.55
17 Co 0.7885 0.5000 0.2115  8 Co 2.37-2.55
18 Co 0.8460 0.3496 0.8460  9 Co 2.39-2.59
19 Co 0.8460 0.8460 0.3496  9 Co 2.39-2.59

Computed properties:
E_form   -98 meV/atom

=====

# Dy4Co3

Dy4Co3 after structural relaxation (PBE, the Materials Project).

Unit cell a=11.3854 b=11.3854 c=3.9659 alpha=90.00 beta=90.00 gamma=120.00
Last column: nearest neighbours and their distance in Å.
Sites, in units of the cell vectors:
1 Dy 0.0211 0.2462 0.2500  4 Co 2.79-3.09
2 Dy 0.1360 0.6209 0.2501  7 Co 2.84-3.05
3 Dy 0.2250 0.9789 0.2500  4 Co 2.79-3.09
4 Dy 0.2462 0.2250 0.7500  4 Co 2.79-3.09
5 Dy 0.3791 0.5151 0.2501  7 Co 2.84-3.05
6 Dy 0.4849 0.8640 0.2501  7 Co 2.84-3.05
7 Dy 0.5151 0.1360 0.7499  7 Co 2.84-3.05
8 Dy 0.6209 0.4849 0.7499  7 Co 2.84-3.05
9 Dy 0.7538 0.7750 0.2500  4 Co 2.79-3.09
10 Dy 0.7750 0.0211 0.7500  4 Co 2.79-3.09
11 Dy 0.8640 0.3791 0.7499  7 Co 2.84-3.05
12 Dy 0.9789 0.7538 0.7500  4 Co 2.79-3.09
13 Co 0.0000 0.0000 0.5000  6 Dy 2.87
14 Co 0.1570 0.4408 0.7499  1 Co 2.34
15 Co 0.2838 0.8430 0.7499  1 Co 2.34
16 Co 0.3333 0.6667 0.7500  3 Co 2.34
17 Co 0.4408 0.2838 0.2501  1 Co 2.34
18 Co 0.5592 0.7162 0.7499  1 Co 2.34
19 Co 0.6667 0.3333 0.2500  3 Co 2.34
20 Co 0.7162 0.1570 0.2501  1 Co 2.34
21 Co 0.8430 0.5592 0.2501  1 Co 2.34

Computed properties:
E_form   -166 meV/atom

=====

# Dy4Co

Dy4Co after structural relaxation (PBE, the Materials Project).

Unit cell a=7.3958 b=7.3958 c=7.3958 alpha=60.00 beta=60.00 gamma=60.00
Last column: nearest neighbours and their distance in Å.
Sites, in units of the cell vectors:
1 Dy 0.2171 0.7610 0.7610  1 Co 2.46
2 Dy 0.2390 0.2390 0.2390  1 Co 2.46
3 Dy 0.2390 0.2390 0.7829  1 Co 2.46
4 Dy 0.2390 0.7829 0.2390  1 Co 2.46
5 Dy 0.7610 0.2171 0.7610  1 Co 2.46
6 Dy 0.7610 0.7610 0.2171  1 Co 2.46
7 Dy 0.7610 0.7610 0.7610  1 Co 2.46
8 Dy 0.7829 0.2390 0.2390  1 Co 2.46
9 Co 0.3750 0.3750 0.3750  4 Dy 2.46
10 Co 0.6250 0.6250 0.6250  4 Dy 2.46

Computed properties:
E_form   301 meV/atom

=====

Please write out number 3 again, unchanged.
# Zr8Co3Cu

Zr8Co3Cu after structural relaxation (PBE, the Materials Project).

Unit cell a=5.3036 b=5.3036 c=9.1140 alpha=90.00 beta=90.00 gamma=118.33
Last column: nearest neighbours and their distance in Å.
Sites, in units of the cell vectors:
1 Zr 0.0000 0.5000 0.5821  4 Co 2.76, 1 Zr 3.05
2 Zr 0.0000 0.5000 0.9167  2 Co 2.76, 2 Cu 2.76, 1 Zr 3.05
3 Zr 0.1630 0.3292 0.2580  3 Co 2.69-2.81, 1 Cu 2.83
4 Zr 0.3292 0.1630 0.7420  3 Co 2.69-2.81, 1 Cu 2.83
5 Zr 0.5000 0.0000 0.0833  2 Co 2.76, 2 Cu 2.76, 1 Zr 3.05
6 Zr 0.5000 0.0000 0.4179  4 Co 2.76, 1 Zr 3.05
7 Zr 0.6708 0.8370 0.7420  3 Co 2.69-2.81, 1 Cu 2.83
8 Zr 0.8370 0.6708 0.2580  3 Co 2.69-2.81, 1 Cu 2.83
9 Co 0.0000 0.0000 0.0000  2 Cu 2.72, 8 Zr 2.76-2.81
10 Co 0.0000 0.0000 0.5000  8 Zr 2.69-2.76, 2 Co 2.72
11 Co 0.5000 0.5000 0.5000  8 Zr 2.71-2.76, 2 Co 2.72
12 Cu 0.5000 0.5000 0.0000  2 Co 2.72, 8 Zr 2.76-2.83

Computed properties:
E_form   -214 meV/atom

=====

Repeat the fifth record exactly.
# Dy4Co3

Dy4Co3 after structural relaxation (PBE, the Materials Project).

Unit cell a=11.3854 b=11.3854 c=3.9659 alpha=90.00 beta=90.00 gamma=120.00
Last column: nearest neighbours and their distance in Å.
Sites, in units of the cell vectors:
1 Dy 0.0211 0.2462 0.2500  4 Co 2.79-3.09
2 Dy 0.1360 0.6209 0.2501  7 Co 2.84-3.05
3 Dy 0.2250 0.9789 0.2500  4 Co 2.79-3.09
4 Dy 0.2462 0.2250 0.7500  4 Co 2.79-3.09
5 Dy 0.3791 0.5151 0.2501  7 Co 2.84-3.05
6 Dy 0.4849 0.8640 0.2501  7 Co 2.84-3.05
7 Dy 0.5151 0.1360 0.7499  7 Co 2.84-3.05
8 Dy 0.6209 0.4849 0.7499  7 Co 2.84-3.05
9 Dy 0.7538 0.7750 0.2500  4 Co 2.79-3.09
10 Dy 0.7750 0.0211 0.7500  4 Co 2.79-3.09
11 Dy 0.8640 0.3791 0.7499  7 Co 2.84-3.05
12 Dy 0.9789 0.7538 0.7500  4 Co 2.79-3.09
13 Co 0.0000 0.0000 0.5000  6 Dy 2.87
14 Co 0.1570 0.4408 0.7499  1 Co 2.34
15 Co 0.2838 0.8430 0.7499  1 Co 2.34
16 Co 0.3333 0.6667 0.7500  3 Co 2.34
17 Co 0.4408 0.2838 0.2501  1 Co 2.34
18 Co 0.5592 0.7162 0.7499  1 Co 2.34
19 Co 0.6667 0.3333 0.2500  3 Co 2.34
20 Co 0.7162 0.1570 0.2501  1 Co 2.34
21 Co 0.8430 0.5592 0.2501  1 Co 2.34

Computed properties:
E_form   -166 meV/atom